Density functional theory data (PBE-GGA) for crystalline LiCu2C2O7 at its relaxed geometry.

Properties
Crystal system ... monoclinic

a b c (Å): 5.676 9.960 10.096
angles (deg): 68.71 90.00 90.00
Fractional coordinates of all 48 atoms:
1 O 0.711 0.767 0.801
2 Li 0.566 0.749 0.516
3 Cu 0.662 0.469 0.121
4 O 0.311 0.582 0.566
5 Cu 0.838 0.969 0.121
6 Cu 0.338 0.531 0.879
7 Li 0.934 0.249 0.516
8 O 0.135 0.350 0.325
9 C 0.248 0.954 0.641
10 Cu 0.866 0.286 0.973
11 O 0.760 0.585 0.218
12 O 0.204 0.354 0.596
13 O 0.811 0.918 0.434
14 O 0.455 0.140 0.879
15 O 0.689 0.418 0.434
16 C 0.373 0.814 0.219
17 O 0.925 0.886 0.982
18 O 0.075 0.114 0.018
19 O 0.289 0.233 0.199
20 O 0.740 0.085 0.218
21 O 0.425 0.614 0.018
22 Cu 0.634 0.786 0.973
23 Li 0.066 0.751 0.484
24 Cu 0.366 0.214 0.027
25 O 0.865 0.650 0.675
26 O 0.211 0.733 0.199
27 O 0.635 0.150 0.675
28 O 0.189 0.082 0.566
29 O 0.796 0.646 0.404
30 O 0.545 0.860 0.121
31 O 0.704 0.146 0.404
32 C 0.752 0.046 0.359
33 C 0.748 0.546 0.359
34 O 0.045 0.640 0.879
35 C 0.127 0.314 0.219
36 Cu 0.134 0.714 0.027
37 O 0.296 0.854 0.596
38 O 0.240 0.415 0.782
39 C 0.252 0.454 0.641
40 C 0.873 0.686 0.781
41 Li 0.434 0.251 0.484
42 O 0.260 0.915 0.782
43 O 0.575 0.386 0.982
44 O 0.789 0.267 0.801
45 O 0.955 0.360 0.121
46 Cu 0.162 0.031 0.879
47 O 0.365 0.850 0.325
48 C 0.627 0.186 0.781

Density functional theory data (PBE-GGA) for crystalline BaNb4Bi4PbO18 at its relaxed geometry.

Properties
Crystal system ... orthorhombic

a b c (Å): 12.823 12.823 5.668
angles (deg): 90.00 90.00 154.40
Fractional coordinates of all 28 atoms:
1 Bi 0.491 0.086 0.500
2 O 0.753 0.247 0.250
3 Ba 0.242 0.242 0.500
4 Nb 0.824 0.650 0.500
5 O 0.481 0.157 0.000
6 O 0.437 0.586 0.245
7 O 0.098 0.924 0.745
8 O 0.247 0.753 0.750
9 O 0.157 0.481 0.000
10 O 0.846 0.522 0.500
11 O 0.522 0.846 0.500
12 Nb 0.326 0.150 0.000
13 O 0.248 0.248 0.000
14 Nb 0.150 0.326 0.000
15 Nb 0.650 0.824 0.500
16 O 0.586 0.437 0.755
17 Bi 0.501 0.903 0.000
18 Bi 0.903 0.501 0.000
19 O 0.098 0.924 0.255
20 O 0.437 0.586 0.755
21 O 0.247 0.753 0.250
22 O 0.586 0.437 0.245
23 O 0.924 0.098 0.745
24 Pb 0.711 0.711 0.000
25 Bi 0.086 0.491 0.500
26 O 0.773 0.773 0.500
27 O 0.753 0.247 0.750
28 O 0.924 0.098 0.255

Density functional theory data (PBE-GGA) for crystalline LiAsH20C8O4 at its relaxed geometry.

Properties
Crystal system ... monoclinic

a b c (Å): 8.202 8.202 12.867
angles (deg): 77.05 77.05 60.80
Fractional coordinates of all 68 atoms:
1 C 0.768 0.782 0.767
2 H 0.134 0.102 0.930
3 C 0.304 0.800 0.923
4 C 0.003 0.266 0.386
5 O 0.839 0.225 0.106
6 As 0.732 0.268 0.750
7 H 0.334 0.088 0.276
8 H 0.427 0.924 0.593
9 C 0.218 0.232 0.733
10 H 0.076 0.573 0.907
11 H 0.230 0.699 0.488
12 H 0.023 0.383 0.399
13 H 0.666 0.912 0.724
14 H 0.193 0.552 0.017
15 C 0.696 0.200 0.077
16 H 0.807 0.448 0.983
17 C 0.200 0.696 0.577
18 H 0.898 0.866 0.570
19 H 0.088 0.334 0.776
20 H 0.256 0.202 0.148
21 H 0.770 0.301 0.512
22 C 0.232 0.218 0.233
23 C 0.416 0.809 0.572
24 H 0.102 0.134 0.430
25 O 0.250 0.043 0.773
26 C 0.997 0.734 0.614
27 H 0.798 0.744 0.352
28 H 0.912 0.666 0.224
29 H 0.557 0.298 0.115
30 Li 0.064 0.936 0.750
31 H 0.448 0.807 0.483
32 H 0.661 0.750 0.258
33 O 0.957 0.750 0.727
34 H 0.573 0.076 0.407
35 As 0.268 0.732 0.250
36 O 0.161 0.775 0.894
37 H 0.202 0.256 0.648
38 H 0.552 0.193 0.517
39 O 0.750 0.957 0.227
40 H 0.924 0.427 0.093
41 H 0.977 0.617 0.601
42 C 0.734 0.997 0.114
43 H 0.443 0.702 0.885
44 H 0.301 0.770 0.012
45 H 0.250 0.339 0.242
46 Li 0.936 0.064 0.250
47 H 0.699 0.230 0.988
48 H 0.617 0.977 0.101
49 C 0.266 0.003 0.886
50 H 0.744 0.798 0.852
51 C 0.800 0.304 0.423
52 C 0.809 0.416 0.072
53 H 0.702 0.443 0.385
54 H 0.750 0.661 0.758
55 H 0.515 0.672 0.612
56 C 0.584 0.191 0.428
57 H 0.485 0.328 0.388
58 H 0.672 0.515 0.112
59 C 0.191 0.584 0.928
60 C 0.782 0.768 0.267
61 O 0.043 0.250 0.273
62 H 0.866 0.898 0.070
63 H 0.328 0.485 0.888
64 H 0.383 0.023 0.899
65 O 0.775 0.161 0.394
66 O 0.225 0.839 0.606
67 H 0.298 0.557 0.615
68 H 0.339 0.250 0.742

Density functional theory data (PBE-GGA) for crystalline Ga2IrRh at its relaxed geometry.

Properties
Crystal system ... cubic

a b c (Å): 4.316 4.316 4.316
angles (deg): 60.00 60.00 60.00
Fractional coordinates of all 4 atoms:
1 Ir 0.500 0.500 0.500
2 Rh 0.000 0.000 0.000
3 Ga 0.250 0.250 0.250
4 Ga 0.750 0.750 0.750

Density functional theory data (PBE-GGA) for crystalline Cu2SeO4 at its relaxed geometry.

Properties
Crystal system ... monoclinic

a b c (Å): 6.028 7.121 10.913
angles (deg): 51.44 90.00 90.00
Fractional coordinates of all 28 atoms:
1 Cu 0.297 0.504 0.242
2 Cu 0.203 0.504 0.742
3 O 0.936 0.587 0.602
4 Cu 0.000 0.500 0.000
5 Cu 0.703 0.496 0.758
6 O 0.712 0.739 0.341
7 O 0.779 0.050 0.398
8 O 0.535 0.344 0.402
9 O 0.436 0.413 0.898
10 O 0.564 0.587 0.102
11 O 0.035 0.656 0.098
12 O 0.721 0.050 0.898
13 Cu 0.500 0.500 0.500
14 O 0.221 0.950 0.602
15 O 0.788 0.739 0.841
16 O 0.965 0.344 0.902
17 Cu 0.500 0.000 0.500
18 Se 0.919 0.835 0.401
19 Se 0.581 0.835 0.901
20 O 0.212 0.261 0.159
21 Cu 0.797 0.496 0.258
22 O 0.288 0.261 0.659
23 O 0.465 0.656 0.598
24 O 0.279 0.950 0.102
25 Cu 0.000 0.000 0.000
26 O 0.064 0.413 0.398
27 Se 0.419 0.165 0.099
28 Se 0.081 0.165 0.599

Density functional theory data (PBE-GGA) for crystalline Ti2MoOs at its relaxed geometry.

Properties
Crystal system ... cubic

a b c (Å): 4.422 4.422 4.422
angles (deg): 60.00 60.00 60.00
Fractional coordinates of all 4 atoms:
1 Ti 0.250 0.250 0.250
2 Ti 0.750 0.750 0.750
3 Os 0.000 0.000 0.000
4 Mo 0.500 0.500 0.500

Density functional theory data (PBE-GGA) for crystalline Tb3Mn3Ga2Si at its relaxed geometry.

Properties
Crystal system ... hexagonal

a b c (Å): 7.157 7.157 3.933
angles (deg): 90.00 90.00 120.00
Fractional coordinates of all 9 atoms:
1 Mn 0.780 0.780 0.000
2 Ga 0.667 0.333 0.000
3 Ga 0.333 0.667 0.000
4 Tb 0.404 0.404 0.500
5 Tb 0.596 0.000 0.500
6 Tb 0.000 0.596 0.500
7 Mn 0.220 0.000 0.000
8 Mn 0.000 0.220 0.000
9 Si 0.000 0.000 0.500

Density functional theory data (PBE-GGA) for crystalline Na2Hf3MgP4S2O24 at its relaxed geometry.

Properties
Crystal system ... triclinic

a b c (Å): 8.788 8.794 23.208
angles (deg): 90.02 89.96 120.01
Fractional coordinates of all 108 atoms:
1 S 0.708 0.715 0.249
2 O 0.643 0.504 0.923
3 O 0.157 0.694 0.470
4 P 0.957 0.629 0.084
5 O 0.190 0.024 0.589
6 P 0.042 0.377 0.916
7 O 0.874 0.359 0.636
8 O 0.121 0.635 0.361
9 O 0.205 0.178 0.804
10 O 0.209 0.025 0.301
11 O 0.466 0.153 0.530
12 O 0.190 0.170 0.090
13 S 0.290 0.995 0.249
14 Hf 0.340 0.672 0.518
15 P 0.368 0.039 0.583
16 Hf 0.002 0.008 0.852
17 P 0.714 0.003 0.748
18 O 0.822 0.024 0.804
19 O 0.490 0.357 0.137
20 P 0.045 0.663 0.415
21 O 0.363 0.502 0.078
22 O 0.308 0.843 0.971
23 O 0.818 0.794 0.301
24 O 0.128 0.490 0.863
25 O 0.355 0.857 0.577
26 O 0.499 0.638 0.577
27 O 0.974 0.790 0.802
28 O 0.157 0.689 0.757
29 O 0.487 0.126 0.637
30 O 0.364 0.487 0.361
31 P 0.621 0.958 0.414
32 Hf 0.001 0.000 0.357
33 O 0.869 0.509 0.137
34 O 0.464 0.308 0.030
35 P 0.625 0.670 0.917
36 O 0.540 0.844 0.469
37 S 0.003 0.291 0.248
38 O 0.156 0.468 0.255
39 O 0.475 0.313 0.744
40 O 0.511 0.641 0.863
41 Hf 0.664 0.339 0.980
42 O 0.133 0.494 0.578
43 O 0.695 0.169 0.744
44 O 0.838 0.306 0.243
45 Mg 0.332 0.667 0.320
46 S 0.957 0.332 0.584
47 Hf 0.328 0.661 0.020
48 Mg 0.008 0.000 0.147
49 O 0.507 0.868 0.078
50 Na 0.001 0.993 0.507
51 Hf 0.340 0.668 0.813
52 O 0.975 0.182 0.301
53 O 0.842 0.531 0.744
54 O 0.824 0.025 0.091
55 P 0.371 0.329 0.084
56 O 0.024 0.194 0.911
57 P 0.671 0.630 0.584
58 O 0.644 0.511 0.638
59 O 0.469 0.159 0.243
60 O 0.691 0.150 0.032
61 Hf 0.660 0.336 0.480
62 O 0.793 0.817 0.197
63 O 0.858 0.355 0.924
64 O 0.693 0.534 0.244
65 S 0.670 0.043 0.084
66 O 0.169 0.193 0.408
67 O 0.515 0.880 0.361
68 O 0.358 0.869 0.863
69 O 0.156 0.462 0.971
70 P 0.334 0.382 0.415
71 O 0.793 0.971 0.695
72 O 0.305 0.462 0.470
73 O 0.185 0.976 0.198
74 O 0.495 0.354 0.423
75 O 0.809 0.831 0.910
76 O 0.525 0.841 0.757
77 O 0.179 0.206 0.695
78 Na 0.006 0.998 0.004
79 O 0.027 0.815 0.698
80 Hf 0.652 0.325 0.685
81 O 0.312 0.842 0.255
82 O 0.168 0.974 0.910
83 O 0.538 0.695 0.971
84 Mg 0.998 0.001 0.646
85 O 0.649 0.144 0.425
86 O 0.531 0.689 0.255
87 Na 0.344 0.670 0.664
88 O 0.832 0.810 0.589
89 S 0.000 0.710 0.749
90 O 0.858 0.503 0.425
91 O 0.690 0.535 0.530
92 P 0.332 0.955 0.917
93 Na 0.662 0.326 0.832
94 Na 0.668 0.333 0.339
95 O 0.021 0.205 0.197
96 O 0.972 0.807 0.090
97 O 0.141 0.643 0.078
98 Hf 0.669 0.341 0.186
99 O 0.845 0.533 0.030
100 O 0.310 0.474 0.758
101 O 0.808 0.977 0.408
102 O 0.850 0.312 0.532
103 O 0.975 0.177 0.589
104 O 0.641 0.127 0.136
105 Na 0.328 0.661 0.171
106 O 0.497 0.139 0.924
107 P 0.286 0.288 0.748
108 O 0.023 0.829 0.408

| no. | formation enthalpy at 0 K (meV/atom) |
| --- | --- |
| 1 | -1498 |
| 2 | -2495 |
| 3 | -344 |
| 4 | -544 |
| 5 | -1045 |
| 6 | -408 |
| 7 | -324 |
| 8 | -2946 |